! TbAgTe2 | Materials Project | PBE | relaxed; values from VASP
! ΔH_f (0 K) = -4.53 eV per formula unit
! E_tot = -4.359 eV per atom
! largest piezoelectric modulus = 0.7 C/m²
&SYSTEM
  ibrav = 0, nat = 8, ntyp = 3
/
ATOMIC_SPECIES
Tb 158.93 Tb.upf
Ag 107.87 Ag.upf
Te 127.60 Te.upf
CELL_PARAMETERS angstrom
7.133 0.000 0.000
0.000 7.133 0.000
0.000 0.000 4.757
ATOMIC_POSITIONS crystal
Tb 0.000 0.500 0.191
Tb 0.500 0.000 0.809
Ag 0.000 0.000 0.000
Ag 0.500 0.500 0.000
Te 0.202 0.298 0.710
Te 0.298 0.798 0.290
Te 0.702 0.202 0.290
Te 0.798 0.702 0.710